1.
# Na6Y2Nb2Si5SO24

A relaxed structure of Na6Y2Nb2Si5SO24 (PBE, the Materials Project database).

Lattice parameters (Å, degrees): 9.274 9.261 22.930 89.61 90.65 120.00
Element x y z (fractional)
O  0.337  0.473  0.080
O  0.121  0.645  0.361
O  0.867  0.497  0.416
O  0.136  0.478  0.585
O  0.665  0.505  0.637
Na  0.679  0.698  0.073
Si  0.042  0.373  0.914
O  0.528  0.831  0.085
Y  0.337  0.676  0.018
O  0.142  0.458  0.974
O  0.438  0.307  0.030
Y  0.325  0.665  0.523
O  0.654  0.111  0.144
O  0.170  0.680  0.754
O  0.536  0.861  0.479
O  0.192  0.188  0.417
Na  0.662  0.317  0.335
O  0.153  0.493  0.857
Si  0.678  0.625  0.582
O  0.151  0.654  0.083
O  0.860  0.362  0.912
O  0.856  0.573  0.027
Na  0.660  0.955  0.580
Si  0.627  0.665  0.915
O  0.500  0.861  0.362
O  0.845  0.812  0.591
O  0.330  0.463  0.479
O  0.162  0.191  0.696
O  0.802  0.972  0.694
Na  0.987  0.351  0.748
O  0.235  0.198  0.810
Si  0.701  0.702  0.255
O  0.529  0.382  0.421
Si  0.975  0.650  0.086
O  0.005  0.797  0.412
O  0.846  0.510  0.739
Nb  0.993  0.990  0.649
O  0.514  0.644  0.584
Nb  0.336  0.651  0.805
O  0.213  0.032  0.307
Na  0.699  0.677  0.417
O  0.488  0.328  0.737
O  0.815  0.825  0.911
O  0.455  0.342  0.136
O  0.187  0.173  0.087
O  0.961  0.174  0.302
O  0.801  0.834  0.198
O  0.808  0.048  0.807
O  0.799  0.969  0.416
Na  0.326  0.309  0.909
O  0.295  0.814  0.258
O  0.038  0.208  0.191
S  0.334  0.961  0.912
Na  0.651  0.021  0.248
O  0.191  0.044  0.593
Na  0.330  0.699  0.162
Si  0.624  0.965  0.421
O  0.513  0.828  0.755
O  0.464  0.169  0.527
Nb  0.652  0.319  0.483
Si  0.948  0.324  0.586
Nb  0.992  0.992  0.154
Na  0.986  0.995  0.998
O  0.856  0.026  0.092
O  0.021  0.834  0.698
Na  0.016  0.337  0.081
Si  0.009  0.302  0.250
Na  0.664  0.348  0.829
O  0.025  0.188  0.911
O  0.313  0.866  0.967
O  0.495  0.158  0.639
Y  0.007  0.013  0.355
Na  0.329  0.680  0.662
Na  0.295  0.343  0.581
O  0.639  0.152  0.424
O  0.677  0.162  0.736
Y  0.686  0.344  0.982
Si  0.344  0.375  0.422
O  0.350  0.872  0.861
Si  0.293  0.993  0.253
O  0.813  0.774  0.312
O  0.552  0.692  0.975
Si  0.002  0.700  0.751
Y  0.994  0.997  0.842
O  0.702  0.140  0.027
O  0.623  0.486  0.913
O  0.164  0.969  0.196
O  0.186  0.482  0.259
O  0.523  0.710  0.258
O  0.307  0.475  0.753
O  0.857  0.341  0.244
O  0.696  0.531  0.523
O  0.970  0.762  0.812
O  0.488  0.128  0.916
Na  0.952  0.664  0.908
S  0.032  0.653  0.414
Na  0.361  0.342  0.255
O  0.823  0.304  0.529
Na  0.721  0.036  0.917
Y  0.669  0.329  0.182
Nb  0.349  0.671  0.314
O  0.186  0.981  0.909
O  0.987  0.835  0.094
Si  0.696  0.998  0.748
Na  0.014  0.022  0.496
O  0.366  0.873  0.586
O  0.360  0.503  0.363
O  0.650  0.512  0.243
O  0.954  0.147  0.590
Na  0.991  0.629  0.249
Si  0.370  0.048  0.587
O  0.480  0.146  0.244
O  0.502  0.660  0.860
O  0.131  0.671  0.467
O  0.880  0.539  0.143
Nb  0.666  0.336  0.686
Si  0.674  0.026  0.086
Si  0.300  0.289  0.749
S  0.355  0.321  0.083
O  0.853  0.338  0.644

## Properties
The formation energy is -2.930 eV per atom. The value obtained for the MP2020-corrected energy is -0.5664 Ry/atom. As for the space group: No. 1. The value obtained for the total energy is -7.295 eV per atom.


2.
# Na4Y3NbSi3S3O24

A relaxed structure of Na4Y3NbSi3S3O24 (PBE, the Materials Project database).

Lattice parameters (Å, degrees): 9.258 9.262 23.841 89.96 90.05 119.92
Element x y z (fractional)
O  0.194  0.197  0.416
Na  0.988  0.000  0.990
O  0.166  0.483  0.258
O  0.514  0.147  0.928
O  0.188  0.996  0.907
S  0.636  0.978  0.420
O  0.143  0.457  0.973
O  0.315  0.833  0.257
O  0.853  0.367  0.926
Si  0.295  0.998  0.247
Na  0.999  0.641  0.253
O  0.216  0.171  0.079
Si  0.666  0.626  0.583
O  0.127  0.647  0.077
S  0.343  0.365  0.419
O  0.210  0.037  0.300
O  0.479  0.321  0.031
Si  0.626  0.666  0.918
O  0.678  0.518  0.244
O  0.498  0.351  0.425
O  0.204  0.049  0.584
Na  0.663  0.964  0.585
O  0.043  0.220  0.195
O  0.485  0.171  0.528
O  0.002  0.807  0.416
O  0.469  0.343  0.132
S  0.380  0.330  0.079
O  0.972  0.793  0.078
Y  0.993  0.001  0.152
O  0.356  0.476  0.076
Y  0.002  0.000  0.854
O  0.094  0.637  0.365
Si  0.702  0.705  0.251
S  0.011  0.702  0.753
S  0.298  0.309  0.752
O  0.364  0.855  0.866
O  0.780  0.823  0.195
O  0.863  0.533  0.750
Si  0.002  0.298  0.250
O  0.634  0.486  0.927
Na  0.320  0.666  0.662
O  0.677  0.155  0.030
O  0.880  0.536  0.132
O  0.840  0.322  0.243
O  0.835  0.315  0.528
Nb  0.670  0.336  0.489
O  0.326  0.452  0.469
S  0.956  0.625  0.079
O  0.495  0.635  0.863
Si  0.378  0.045  0.584
S  0.021  0.657  0.418
Na  0.644  0.002  0.252
Na  0.666  0.333  0.829
Na  0.294  0.961  0.085
O  0.516  0.682  0.258
S  0.667  0.048  0.079
Y  0.325  0.667  0.518
Nb  0.334  0.667  0.825
Y  0.001  0.001  0.348
Y  0.334  0.661  0.015
Si  0.335  0.959  0.921
Si  0.040  0.374  0.918
O  0.799  0.007  0.799
O  0.878  0.361  0.639
O  0.545  0.689  0.973
O  0.149  0.482  0.575
O  0.314  0.864  0.979
Y  0.333  0.668  0.317
O  0.959  0.154  0.585
O  0.548  0.874  0.469
S  0.691  0.989  0.752
O  0.366  0.867  0.574
Si  0.960  0.332  0.585
O  0.830  0.810  0.584
O  0.521  0.834  0.760
Nb  0.668  0.334  0.970
O  0.810  0.812  0.906
O  0.763  0.967  0.699
O  0.362  0.462  0.368
O  0.538  0.901  0.368
Na  0.333  0.656  0.179
O  0.651  0.125  0.131
O  0.511  0.883  0.076
Na  0.000  0.990  0.504
O  0.483  0.161  0.242
O  0.312  0.478  0.759
O  0.851  0.526  0.030
O  0.823  0.784  0.305
O  0.670  0.138  0.750
O  0.141  0.505  0.863
O  0.492  0.124  0.638
O  0.188  0.963  0.188
O  0.167  0.688  0.760
O  0.817  0.031  0.079
O  0.209  0.201  0.799
O  0.503  0.644  0.572
O  0.853  0.502  0.425
O  0.627  0.509  0.637
O  0.002  0.190  0.906
O  0.032  0.799  0.701
Y  0.671  0.337  0.186
Na  0.667  0.334  0.329
O  0.960  0.177  0.305
O  0.205  0.236  0.698
O  0.468  0.330  0.750
Y  0.670  0.337  0.683
O  0.803  0.996  0.417
O  0.128  0.674  0.466
O  0.992  0.788  0.802
O  0.687  0.520  0.527
Y  0.002  0.991  0.644
Na  0.358  0.356  0.252
Na  0.306  0.343  0.585
O  0.649  0.147  0.425

## Properties
The formation energy is -2.806 eV per atom. The value obtained for the MP2020-corrected energy is -0.5587 Ry/atom. As for the space group: No. 1. The value obtained for the total energy is -7.168 eV per atom.


3.
# Na2YNb3Si4S2O24

A relaxed structure of Na2YNb3Si4S2O24 (PBE, the Materials Project database).

Lattice parameters (Å, degrees): 8.985 9.013 23.168 90.75 89.94 119.93
Element x y z (fractional)
O  0.801  0.967  0.694
O  0.284  0.474  0.756
O  0.158  0.667  0.070
Si  0.705  0.992  0.756
S  0.952  0.323  0.583
O  0.898  0.519  0.141
S  0.336  0.370  0.415
Si  0.624  0.673  0.918
Si  0.041  0.675  0.417
O  0.163  0.185  0.693
O  0.995  0.173  0.307
O  0.862  0.553  0.748
Na  0.986  0.980  0.500
O  0.702  0.165  0.752
O  0.174  0.978  0.191
Si  0.337  0.954  0.916
O  0.167  0.975  0.907
O  0.364  0.861  0.858
Si  0.289  0.004  0.251
O  0.788  0.819  0.199
Na  0.668  0.317  0.326
Nb  0.662  0.347  0.976
O  0.186  0.167  0.089
O  0.566  0.851  0.472
Na  0.321  0.651  0.160
Nb  0.319  0.679  0.310
Nb  0.342  0.663  0.815
Si  0.960  0.626  0.084
O  0.824  0.019  0.088
O  0.517  0.863  0.074
O  0.845  0.303  0.529
O  0.134  0.501  0.859
O  0.125  0.471  0.577
Nb  0.025  0.014  0.142
O  0.506  0.143  0.926
O  0.307  0.833  0.971
Nb  0.999  0.004  0.352
O  0.810  0.807  0.304
O  0.639  0.107  0.135
O  0.363  0.477  0.365
O  0.470  0.123  0.635
O  0.147  0.705  0.474
O  0.502  0.635  0.859
O  0.473  0.166  0.252
S  0.668  0.037  0.081
Si  0.626  0.961  0.415
Na  0.653  0.315  0.833
Si  0.007  0.291  0.251
O  0.508  0.656  0.582
O  0.993  0.808  0.803
Na  0.355  0.663  0.669
O  0.517  0.817  0.757
S  0.369  0.048  0.582
Nb  0.324  0.661  0.017
Si  0.280  0.290  0.753
O  0.177  0.169  0.808
O  0.832  0.523  0.027
O  0.535  0.702  0.257
Y  0.345  0.677  0.517
O  0.459  0.149  0.530
O  0.825  0.998  0.809
O  0.163  0.472  0.972
O  0.171  0.715  0.752
O  0.637  0.150  0.426
O  0.968  0.816  0.091
Nb  0.679  0.346  0.477
O  0.694  0.551  0.251
O  0.303  0.437  0.468
Nb  0.004  0.014  0.860
O  0.133  0.637  0.360
O  0.022  0.189  0.193
O  0.873  0.343  0.634
O  0.003  0.829  0.404
S  0.708  0.720  0.251
O  0.187  0.193  0.408
S  0.012  0.724  0.752
O  0.845  0.317  0.252
O  0.850  0.358  0.925
O  0.350  0.505  0.071
O  0.190  0.476  0.260
Y  0.673  0.337  0.186
O  0.847  0.493  0.424
O  0.024  0.194  0.910
O  0.816  0.834  0.910
Si  0.383  0.346  0.083
O  0.484  0.373  0.141
O  0.176  0.001  0.306
O  0.495  0.858  0.360
O  0.662  0.522  0.641
Si  0.670  0.629  0.586
Na  0.998  0.992  0.999
O  0.855  0.820  0.590
O  0.024  0.824  0.698
Nb  0.985  0.995  0.650
O  0.823  0.002  0.402
Y  0.656  0.331  0.693
Si  0.040  0.385  0.915
O  0.467  0.312  0.754
O  0.695  0.145  0.031
O  0.298  0.822  0.256
O  0.199  0.040  0.586
O  0.340  0.872  0.578
O  0.963  0.162  0.585
O  0.687  0.520  0.526
O  0.638  0.497  0.924
O  0.531  0.700  0.973
O  0.473  0.308  0.026
O  0.491  0.350  0.422

## Properties
The formation energy is -2.842 eV per atom. The value obtained for the MP2020-corrected energy is -0.5930 Ry/atom. As for the space group: No. 1. The value obtained for the total energy is -7.610 eV per atom.


The lowest MP2020-corrected energy belongs to which entry?
Na2YNb3Si4S2O24